VASP calculation (PBE) on CoNi5S8 after structural relaxation.

Calculated values
- E_tot (eV/atom) = -5.31
- energy of formation from the pure elements (eV per atom) = -0.66
- size of the total moment (Bohr magnetons per cell) = 0.0
- volume (A^3/atom) = 14.94

abc: 6.6627 6.6627 6.6627
angles: 60.00 60.00 60.00
Atoms (fractional coordinates):
S: 0.8667 0.3998 0.8667
S: 0.3816 0.3816 0.8551
S: 0.8667 0.8667 0.3998
S: 0.3998 0.8667 0.8667
S: 0.3816 0.3816 0.3816
S: 0.3816 0.8551 0.3816
S: 0.8667 0.8667 0.8667
S: 0.8551 0.3816 0.3816
Ni: 0.6248 0.1257 0.6248
Ni: 0.1257 0.6248 0.6248
Ni: 0.6248 0.6248 0.6248
Ni: 0.6248 0.6248 0.1257
Ni: 0.0000 0.0000 0.0000
Co: 0.2500 0.2500 0.2500